(1)
La3Tm2Ga3O12 | GGA-PBE | relaxed

Summary:
Energy of formation: -3401 meV per atom
Total energy after the MP2020 corrections: -8.012 eV per atom

Cell: 11.404 11.404 11.404 Å, 109.47 109.47 109.47°
Fractional positions:
La (0.250, 0.375, 0.125)
La (0.750, 0.625, 0.875)
La (0.750, 0.125, 0.375)
La (0.125, 0.250, 0.375)
La (0.375, 0.750, 0.125)
La (0.250, 0.875, 0.625)
La (0.875, 0.750, 0.625)
La (0.625, 0.250, 0.875)
La (0.375, 0.125, 0.250)
La (0.625, 0.875, 0.750)
La (0.125, 0.375, 0.750)
La (0.875, 0.625, 0.250)
Tm (0.000, 0.000, 0.000)
Tm (0.500, 0.000, 0.500)
Tm (0.000, 0.500, 0.500)
Tm (0.500, 0.000, 0.000)
Tm (0.500, 0.500, 0.000)
Tm (0.500, 0.500, 0.500)
Tm (0.000, 0.000, 0.500)
Tm (0.000, 0.500, 0.000)
Ga (0.250, 0.625, 0.375)
Ga (0.750, 0.375, 0.625)
Ga (0.750, 0.875, 0.125)
Ga (0.375, 0.250, 0.625)
Ga (0.625, 0.750, 0.375)
Ga (0.250, 0.125, 0.875)
Ga (0.125, 0.750, 0.875)
Ga (0.875, 0.250, 0.125)
Ga (0.625, 0.375, 0.250)
Ga (0.375, 0.625, 0.750)
Ga (0.875, 0.125, 0.750)
Ga (0.125, 0.875, 0.250)
O (0.476, 0.374, 0.288)
O (0.524, 0.626, 0.712)
O (0.586, 0.187, 0.212)
O (0.914, 0.126, 0.602)
O (0.288, 0.476, 0.374)
O (0.313, 0.914, 0.288)
O (0.414, 0.813, 0.788)
O (0.086, 0.874, 0.398)
O (0.712, 0.524, 0.626)
O (0.687, 0.086, 0.712)
O (0.024, 0.313, 0.898)
O (0.212, 0.586, 0.187)
O (0.126, 0.024, 0.212)
O (0.976, 0.687, 0.102)
O (0.788, 0.414, 0.813)
O (0.874, 0.976, 0.788)
O (0.602, 0.914, 0.126)
O (0.187, 0.476, 0.602)
O (0.398, 0.086, 0.874)
O (0.813, 0.524, 0.398)
O (0.898, 0.024, 0.313)
O (0.374, 0.586, 0.898)
O (0.102, 0.976, 0.687)
O (0.626, 0.414, 0.102)
O (0.374, 0.288, 0.476)
O (0.586, 0.898, 0.374)
O (0.626, 0.712, 0.524)
O (0.414, 0.102, 0.626)
O (0.126, 0.602, 0.914)
O (0.024, 0.212, 0.126)
O (0.874, 0.398, 0.086)
O (0.976, 0.788, 0.874)
O (0.313, 0.898, 0.024)
O (0.914, 0.288, 0.313)
O (0.687, 0.102, 0.976)
O (0.086, 0.712, 0.687)
O (0.187, 0.212, 0.586)
O (0.476, 0.602, 0.187)
O (0.813, 0.788, 0.414)
O (0.524, 0.398, 0.813)
O (0.288, 0.313, 0.914)
O (0.712, 0.687, 0.086)
O (0.212, 0.126, 0.024)
O (0.788, 0.874, 0.976)
O (0.898, 0.374, 0.586)
O (0.102, 0.626, 0.414)
O (0.602, 0.187, 0.476)
O (0.398, 0.813, 0.524)

(2)
LaGa3Pd2 | GGA-PBE | relaxed

Summary:
Energy of formation: -770 meV per atom

Cell: 5.480 5.480 4.323 Å, 90.00 90.00 120.00°
Fractional positions:
La (0.000, 0.000, 0.000)
Ga (0.500, 0.000, 0.500)
Ga (0.500, 0.500, 0.500)
Ga (0.000, 0.500, 0.500)
Pd (0.667, 0.333, 0.000)
Pd (0.333, 0.667, 0.000)

(3)
LaGaPd2 | GGA-PBE | relaxed

Summary:
Energy of formation: -875 meV per atom

Cell: 5.920 7.112 7.676 Å, 90.00 90.00 90.00°
Fractional positions:
La (0.348, 0.750, 0.033)
La (0.152, 0.750, 0.533)
La (0.652, 0.250, 0.967)
La (0.848, 0.250, 0.467)
Ga (0.652, 0.750, 0.379)
Ga (0.848, 0.750, 0.879)
Ga (0.348, 0.250, 0.621)
Ga (0.152, 0.250, 0.121)
Pd (0.912, 0.553, 0.177)
Pd (0.588, 0.947, 0.677)
Pd (0.088, 0.053, 0.823)
Pd (0.412, 0.447, 0.323)
Pd (0.088, 0.447, 0.823)
Pd (0.412, 0.053, 0.323)
Pd (0.912, 0.947, 0.177)
Pd (0.588, 0.553, 0.677)

(4)
LaGa3Pd | GGA-PBE | relaxed

Summary:
Energy of formation: -708 meV per atom

Cell: 6.163 6.163 6.163 Å, 138.77 138.77 59.72°
Fractional positions:
La (0.000, 0.000, 0.000)
Ga (0.619, 0.619, 0.000)
Ga (0.381, 0.381, 0.000)
Ga (0.750, 0.250, 0.500)
Pd (0.250, 0.750, 0.500)

(5)
LaPmGa2 | GGA-PBE | relaxed

Summary:
Energy of formation: -562 meV per atom

Cell: 5.269 5.269 5.269 Å, 60.00 60.00 60.00°
Fractional positions:
La (0.500, 0.500, 0.500)
Pm (0.000, 0.000, 0.000)
Ga (0.250, 0.250, 0.250)
Ga (0.750, 0.750, 0.750)

(6)
LaGaPt | GGA-PBE | relaxed

Summary:
Energy of formation: -1042 meV per atom

Cell: 4.511 7.247 8.040 Å, 90.00 90.00 90.00°
Fractional positions:
La (0.250, 0.030, 0.690)
La (0.250, 0.530, 0.810)
La (0.750, 0.970, 0.310)
La (0.750, 0.470, 0.190)
Ga (0.250, 0.155, 0.069)
Ga (0.250, 0.655, 0.431)
Ga (0.750, 0.845, 0.931)
Ga (0.750, 0.345, 0.569)
Pt (0.250, 0.280, 0.392)
Pt (0.250, 0.780, 0.108)
Pt (0.750, 0.720, 0.608)
Pt (0.750, 0.220, 0.892)

(7)
LaGa2Pt3 | GGA-PBE | relaxed

Summary:
Energy of formation: -922 meV per atom

Cell: 5.646 5.646 4.085 Å, 90.00 90.00 120.00°
Fractional positions:
La (0.000, 0.000, 0.000)
Ga (0.667, 0.333, 0.000)
Ga (0.333, 0.667, 0.000)
Pt (0.500, 0.500, 0.500)
Pt (0.500, 0.000, 0.500)
Pt (0.000, 0.500, 0.500)

(8)
LaGa2Rh3 | GGA-PBE | relaxed

Summary:
Energy of formation: -814 meV per atom

Cell: 5.697 5.697 3.848 Å, 90.00 90.00 120.00°
Fractional positions:
La (0.000, 0.000, 0.000)
Ga (0.333, 0.667, 0.000)
Ga (0.667, 0.333, 0.000)
Rh (0.500, 0.000, 0.500)
Rh (0.000, 0.500, 0.500)
Rh (0.500, 0.500, 0.500)

(9)
La3Ga2Rh2 | GGA-PBE | relaxed

Summary:
Energy of formation: -764 meV per atom

Cell: 5.779 8.374 13.691 Å, 90.00 90.00 90.00°
Fractional positions:
La (0.647, 0.252, 0.250)
La (0.353, 0.748, 0.750)
La (0.353, 0.752, 0.250)
La (0.647, 0.248, 0.750)
La (0.155, 0.398, 0.095)
La (0.845, 0.602, 0.905)
La (0.845, 0.602, 0.595)
La (0.845, 0.898, 0.405)
La (0.155, 0.398, 0.405)
La (0.155, 0.102, 0.595)
La (0.155, 0.102, 0.905)
La (0.845, 0.898, 0.095)
Ga (0.151, 0.104, 0.250)
Ga (0.849, 0.896, 0.750)
Ga (0.849, 0.604, 0.250)
Ga (0.151, 0.396, 0.750)
Ga (0.644, 0.250, 0.000)
Ga (0.356, 0.750, 0.000)
Ga (0.356, 0.750, 0.500)
Ga (0.644, 0.250, 0.500)
Rh (0.375, 0.034, 0.092)
Rh (0.625, 0.966, 0.908)
Rh (0.625, 0.966, 0.592)
Rh (0.625, 0.534, 0.408)
Rh (0.375, 0.034, 0.408)
Rh (0.375, 0.466, 0.592)
Rh (0.375, 0.466, 0.908)
Rh (0.625, 0.534, 0.092)

(10)
La3Ga2Ru2 | GGA-PBE | relaxed

Summary:
Energy of formation: -501 meV per atom

Cell: 5.817 12.417 13.881 Å, 90.00 90.00 97.45°
Fractional positions:
La (0.730, 0.766, 0.093)
La (0.270, 0.234, 0.593)
La (0.270, 0.234, 0.907)
La (0.730, 0.766, 0.407)
La (0.680, 0.563, 0.593)
La (0.320, 0.437, 0.093)
La (0.320, 0.437, 0.407)
La (0.680, 0.563, 0.907)
La (0.458, 0.896, 0.595)
La (0.542, 0.104, 0.095)
La (0.542, 0.104, 0.405)
La (0.458, 0.896, 0.905)
La (0.975, 0.996, 0.750)
La (0.025, 0.004, 0.250)
La (0.826, 0.328, 0.750)
La (0.174, 0.672, 0.250)
La (0.170, 0.662, 0.750)
La (0.830, 0.338, 0.250)
Ga (0.830, 0.331, 0.502)
Ga (0.170, 0.669, 0.002)
Ga (0.170, 0.669, 0.498)
Ga (0.830, 0.331, 0.998)
Ga (0.713, 0.760, 0.750)
Ga (0.287, 0.240, 0.250)
Ga (0.522, 0.101, 0.750)
Ga (0.478, 0.899, 0.250)
Ga (0.341, 0.431, 0.750)
Ga (0.659, 0.569, 0.250)
Ga (0.000, 0.000, 0.500)
Ga (0.000, 0.000, 0.000)
Ru (0.942, 0.815, 0.592)
Ru (0.058, 0.185, 0.092)
Ru (0.058, 0.185, 0.408)
Ru (0.942, 0.815, 0.908)
Ru (0.859, 0.520, 0.091)
Ru (0.141, 0.480, 0.591)
Ru (0.141, 0.480, 0.909)
Ru (0.859, 0.520, 0.409)
Ru (0.758, 0.136, 0.588)
Ru (0.242, 0.864, 0.088)
Ru (0.242, 0.864, 0.412)
Ru (0.758, 0.136, 0.912)

(11)
La2Ga9Ru3 | GGA-PBE | relaxed

Summary:
Energy of formation: -536 meV per atom

Cell: 7.601 7.601 9.977 Å, 90.00 90.00 119.36°
Fractional positions:
La (0.997, 0.669, 0.250)
La (0.003, 0.331, 0.750)
La (0.669, 0.997, 0.250)
La (0.331, 0.003, 0.750)
Ga (0.130, 0.130, 0.250)
Ga (0.870, 0.870, 0.750)
Ga (0.008, 0.335, 0.071)
Ga (0.992, 0.665, 0.929)
Ga (0.992, 0.665, 0.571)
Ga (0.335, 0.008, 0.429)
Ga (0.008, 0.335, 0.429)
Ga (0.665, 0.992, 0.571)
Ga (0.665, 0.992, 0.929)
Ga (0.335, 0.008, 0.071)
Ga (0.339, 0.339, 0.553)
Ga (0.661, 0.661, 0.447)
Ga (0.661, 0.661, 0.053)
Ga (0.339, 0.339, 0.947)
Ga (0.336, 0.543, 0.250)
Ga (0.664, 0.457, 0.750)
Ga (0.543, 0.336, 0.250)
Ga (0.457, 0.664, 0.750)
Ru (0.673, 0.327, 0.000)
Ru (0.327, 0.673, 0.000)
Ru (0.327, 0.673, 0.500)
Ru (0.673, 0.327, 0.500)
Ru (0.000, 0.000, 0.000)
Ru (0.000, 0.000, 0.500)

(12)
La9Ga5S21 | GGA-PBE | relaxed

Summary:
Energy of formation: -1958 meV per atom
Total energy after the MP2020 corrections: -6.141 eV per atom

Cell: 11.878 11.878 11.878 Å, 94.68 94.68 94.68°
Fractional positions:
La (0.906, 0.075, 0.281)
La (0.563, 0.735, 0.943)
La (0.244, 0.411, 0.619)
La (0.735, 0.943, 0.563)
La (0.411, 0.619, 0.244)
La (0.075, 0.281, 0.906)
La (0.619, 0.244, 0.411)
La (0.281, 0.906, 0.075)
La (0.943, 0.563, 0.735)
La (0.767, 0.602, 0.392)
La (0.431, 0.259, 0.051)
La (0.107, 0.936, 0.732)
La (0.936, 0.732, 0.107)
La (0.602, 0.392, 0.767)
La (0.259, 0.051, 0.431)
La (0.051, 0.431, 0.259)
La (0.732, 0.107, 0.936)
La (0.392, 0.767, 0.602)
Ga (0.113, 0.778, 0.448)
Ga (0.778, 0.448, 0.113)
Ga (0.448, 0.113, 0.778)
Ga (0.278, 0.613, 0.948)
Ga (0.948, 0.278, 0.613)
Ga (0.613, 0.948, 0.278)
Ga (0.144, 0.144, 0.144)
Ga (0.840, 0.840, 0.840)
Ga (0.340, 0.340, 0.340)
Ga (0.643, 0.643, 0.643)
S (0.326, 0.992, 0.658)
S (0.992, 0.658, 0.326)
S (0.658, 0.326, 0.992)
S (0.158, 0.492, 0.826)
S (0.826, 0.158, 0.492)
S (0.492, 0.826, 0.158)
S (0.201, 0.668, 0.113)
S (0.868, 0.328, 0.780)
S (0.534, 0.007, 0.440)
S (0.328, 0.780, 0.868)
S (0.007, 0.440, 0.534)
S (0.668, 0.113, 0.201)
S (0.440, 0.534, 0.007)
S (0.113, 0.201, 0.668)
S (0.780, 0.868, 0.328)
S (0.288, 0.813, 0.378)
S (0.949, 0.492, 0.041)
S (0.620, 0.152, 0.708)
S (0.152, 0.708, 0.620)
S (0.813, 0.378, 0.288)
S (0.492, 0.041, 0.949)
S (0.041, 0.949, 0.492)
S (0.708, 0.620, 0.152)
S (0.378, 0.288, 0.813)
S (0.220, 0.343, 0.116)
S (0.883, 0.014, 0.772)
S (0.564, 0.698, 0.455)
S (0.014, 0.772, 0.883)
S (0.698, 0.455, 0.564)
S (0.343, 0.116, 0.220)
S (0.455, 0.564, 0.698)
S (0.116, 0.220, 0.343)
S (0.772, 0.883, 0.014)
S (0.080, 0.947, 0.190)
S (0.733, 0.609, 0.837)
S (0.397, 0.265, 0.507)
S (0.265, 0.507, 0.397)
S (0.947, 0.190, 0.080)
S (0.609, 0.837, 0.733)
S (0.837, 0.733, 0.609)
S (0.507, 0.397, 0.265)
S (0.190, 0.080, 0.947)

(13)
LaGaSb2 | GGA-PBE | relaxed

Summary:
Energy of formation: -797 meV per atom
Total energy after the MP2020 corrections: -4.852 eV per atom

Cell: 11.769 11.769 4.425 Å, 90.00 90.00 158.39°
Fractional positions:
La (0.862, 0.138, 0.250)
La (0.138, 0.862, 0.750)
Ga (0.160, 0.160, 0.000)
Ga (0.840, 0.840, 0.500)
Sb (0.590, 0.410, 0.250)
Sb (0.410, 0.590, 0.750)
Sb (0.250, 0.750, 0.250)
Sb (0.750, 0.250, 0.750)